Material: VH17C4S4O20F12
Method: DFT, PBE+U
State: optimized geometry

The structure in POSCAR format:
```
VH17C4S4O20F12
1.0
0.9696 -8.8766 1.1157
7.8454 1.0506 4.3246
-7.5243 2.2724 6.0817
V H C S O F
1 17 4 4 20 12
direct
0.0000 0.0000 0.0000 V
0.1860 0.2458 0.1864 H
0.8140 0.7542 0.8136 H
0.9868 0.6847 0.8407 H
0.0132 0.3153 0.1593 H
0.1768 0.1125 0.8653 H
0.8232 0.8875 0.1347 H
0.7660 0.0632 0.1469 H
0.2340 0.9368 0.8531 H
0.8769 0.1755 0.8338 H
0.1231 0.8245 0.1662 H
0.7359 0.0607 0.8337 H
0.2641 0.9393 0.1663 H
0.5000 0.5000 0.0000 H
0.5247 0.7157 0.1090 H
0.4753 0.2843 0.8910 H
0.6485 0.3476 0.9808 H
0.3515 0.6524 0.0192 H
0.4267 0.7859 0.5460 C
0.5733 0.2141 0.4540 C
0.0765 0.2972 0.5766 C
0.9235 0.7028 0.4234 C
0.4918 0.1563 0.2516 S
0.5082 0.8437 0.7484 S
0.0858 0.3630 0.7788 S
0.9142 0.6370 0.2212 S
0.9263 0.7811 0.8550 O
0.0737 0.2189 0.1450 O
0.1556 0.0141 0.8842 O
0.8444 0.9859 0.1158 O
0.8443 0.1044 0.8811 O
0.1557 0.8956 0.1189 O
0.6308 0.7356 0.7638 O
0.3692 0.2644 0.2362 O
0.5607 0.0095 0.7908 O
0.4393 0.9905 0.2092 O
0.9355 0.3141 0.7861 O
0.0645 0.6859 0.2139 O
0.3791 0.8216 0.8060 O
0.6209 0.1784 0.1940 O
0.8838 0.4666 0.1685 O
0.1162 0.5334 0.8315 O
0.7865 0.7227 0.1641 O
0.2135 0.2773 0.8359 O
0.5398 0.3664 0.9737 O
0.4602 0.6336 0.0263 O
0.6969 0.1288 0.4804 F
0.3031 0.8712 0.5196 F
0.6161 0.3687 0.5100 F
0.3839 0.6313 0.4900 F
0.4691 0.1864 0.5227 F
0.5309 0.8136 0.4773 F
0.9511 0.3511 0.5064 F
0.0489 0.6489 0.4936 F
0.0694 0.1379 0.5215 F
0.9306 0.8621 0.4785 F
0.7981 0.6485 0.4478 F
0.2019 0.3515 0.5522 F
```

E_tot   -0.3983 Ry per atom
Crystal system   triclinic
Theoretical density   1783 kg/m3
Energy above the lowest structure with this stoichiometry   0.009 eV per atom
DFT formation energy   -155.0 kJ/mol of atoms


Material: VH4C4O6F
Method: DFT, PBE+U
State: optimized geometry

The structure in POSCAR format:
```
VH4C4O6F
1.0
-2.4764 -0.8295 -2.9802
2.4142 -7.3596 1.8380
-8.6291 -0.9723 7.4411
V H C O F
2 8 8 12 2
direct
0.5000 0.0000 0.0000 V
0.0000 0.5000 0.5000 V
0.3513 0.9842 0.2286 H
0.6487 0.0158 0.7714 H
0.1487 0.5158 0.7286 H
0.8513 0.4842 0.2714 H
0.5518 0.8183 0.1941 H
0.4482 0.1817 0.8059 H
0.9482 0.6817 0.6941 H
0.0518 0.3183 0.3059 H
0.0411 0.8820 0.4716 C
0.9589 0.1180 0.5284 C
0.4589 0.6180 0.9716 C
0.5411 0.3820 0.0284 C
0.5864 0.5530 0.0809 C
0.4136 0.4470 0.9191 C
0.9136 0.9470 0.5809 C
0.0864 0.0530 0.4191 C
0.4591 0.9202 0.1665 O
0.5409 0.0798 0.8335 O
0.0409 0.5798 0.6665 O
0.9591 0.4202 0.3335 O
0.0973 0.7409 0.4331 O
0.9027 0.2591 0.5669 O
0.4027 0.7591 0.9331 O
0.5973 0.2409 0.0669 O
0.6901 0.6152 0.1786 O
0.3099 0.3848 0.8214 O
0.8099 0.8848 0.6786 O
0.1901 0.1152 0.3214 O
0.0000 0.0000 0.0000 F
0.5000 0.5000 0.5000 F
```

E_tot   -0.4900 Ry per atom
Crystal system   monoclinic
Theoretical density   2037 kg/m3
DFT formation energy   -131.3 kJ/mol of atoms


Material: K3WC4N4OF
Method: DFT, PBE+U
State: optimized geometry

The structure in POSCAR format:
```
K3WC4N4OF
1.0
-3.5667 -1.2520 -7.1445
1.3955 -8.0775 1.1278
-6.9360 0.2187 5.2671
K W C N O F
6 2 8 8 2 2
direct
0.7134 0.3277 0.5091 K
0.2866 0.6723 0.4909 K
0.7966 0.1566 0.0010 K
0.2034 0.8434 0.9990 K
0.2629 0.2669 0.7782 K
0.7371 0.7331 0.2218 K
0.2563 0.2508 0.2780 W
0.7437 0.7492 0.7220 W
0.6528 0.5304 0.8149 C
0.0214 0.3709 0.2814 C
0.3472 0.4696 0.1851 C
0.4717 0.1172 0.2289 C
0.5283 0.8828 0.7711 C
0.8639 0.9812 0.6825 C
0.9786 0.6291 0.7186 C
0.1361 0.0188 0.3175 C
0.8959 0.4375 0.2832 N
0.3903 0.5957 0.1477 N
0.0732 0.8896 0.3268 N
0.9268 0.1104 0.6732 N
0.5890 0.0450 0.2086 N
0.6097 0.4043 0.8523 N
0.4110 0.9550 0.7914 N
0.1041 0.5625 0.7168 N
0.3489 0.3153 0.4776 O
0.6511 0.6847 0.5224 O
0.8517 0.8234 0.9552 F
0.1483 0.1766 0.0448 F
```

E_tot   -0.5099 Ry per atom
Crystal system   triclinic
Theoretical density   2566 kg/m3
DFT formation energy   -64.1 kJ/mol of atoms